Version 1
# PBE+U Ho2MgAg2W4O16, relaxed
# Magnetic moment in μB per formula unit: 0.0
data_Ho2MgAg2W4O16
_chemical_formula_sum 'Ho2 Mg1 Ag2 W4 O16'
_symmetry_space_group_name_H-M 'P 1'
_symmetry_Int_Tables_number 1
_cell_length_a 7.674
_cell_length_b 7.674
_cell_length_c 7.558
_cell_angle_alpha 116.39
_cell_angle_beta 116.39
_cell_angle_gamma 94.07
loop_
_symmetry_equiv_pos_as_xyz
'x,y,z'
loop_
_atom_site_label
_atom_site_type_symbol
_atom_site_fract_x
_atom_site_fract_y
_atom_site_fract_z
Ho1 Ho 0.234 0.766 0.000
Ho2 Ho 0.766 0.234 0.000
Mg1 Mg 0.229 0.229 0.396
Ag1 Ag 0.066 0.066 0.546
Ag2 Ag 0.778 0.778 0.464
W1 W 0.279 0.279 0.032
W2 W 0.352 0.677 0.516
W3 W 0.677 0.352 0.516
W4 W 0.730 0.730 0.991
O1 O 0.044 0.044 0.849
O2 O 0.143 0.398 0.252
O3 O 0.199 0.447 0.902
O4 O 0.213 0.726 0.664
O5 O 0.299 0.807 0.358
O6 O 0.398 0.143 0.252
O7 O 0.447 0.199 0.902
O8 O 0.484 0.484 0.659
O9 O 0.518 0.518 0.357
O10 O 0.561 0.808 0.114
O11 O 0.620 0.868 0.785
O12 O 0.726 0.213 0.664
O13 O 0.807 0.299 0.358
O14 O 0.808 0.561 0.114
O15 O 0.868 0.620 0.785
O16 O 0.983 0.983 0.192

***

Version 2
# PBE+U Ho2MgAg2W4O16, relaxed
# Magnetic moment in μB per formula unit: 2.0
data_Ho2MgAg2W4O16
_chemical_formula_sum 'Ho2 Mg1 Ag2 W4 O16'
_symmetry_space_group_name_H-M 'P 1'
_symmetry_Int_Tables_number 1
_cell_length_a 7.437
_cell_length_b 7.469
_cell_length_c 7.781
_cell_angle_alpha 63.85
_cell_angle_beta 63.45
_cell_angle_gamma 68.21
loop_
_symmetry_equiv_pos_as_xyz
'x,y,z'
loop_
_atom_site_label
_atom_site_type_symbol
_atom_site_fract_x
_atom_site_fract_y
_atom_site_fract_z
Ho1 Ho 0.000 0.000 0.000
Ho2 Ho 0.441 0.502 0.454
Mg1 Mg 0.669 0.320 0.848
Ag1 Ag 0.056 0.064 0.459
Ag2 Ag 0.225 0.419 0.059
W1 W 0.475 0.987 0.974
W2 W 0.574 0.907 0.553
W3 W 0.855 0.614 0.889
W4 W 0.960 0.517 0.480
O1 O 0.090 0.579 0.634
O2 O 0.207 0.007 0.158
O3 O 0.232 0.507 0.295
O4 O 0.352 0.932 0.820
O5 O 0.421 0.809 0.500
O6 O 0.441 0.281 0.799
O7 O 0.532 0.181 0.432
O8 O 0.571 0.698 0.108
O9 O 0.644 0.049 0.052
O10 O 0.692 0.604 0.725
O11 O 0.726 0.920 0.729
O12 O 0.766 0.467 0.422
O13 O 0.843 0.838 0.355
O14 O 0.848 0.335 0.012
O15 O 0.973 0.223 0.683
O16 O 0.996 0.725 0.956

***

Most stable of them? version 2.

***

Version 1
# PBE+U Li5VF8, relaxed
# Magnetic moment in μB per formula unit: 2.0
data_Li5VF8
_chemical_formula_sum 'Li5 V1 F8'
_symmetry_space_group_name_H-M 'P 1'
_symmetry_Int_Tables_number 1
_cell_length_a 5.172
_cell_length_b 5.172
_cell_length_c 5.963
_cell_angle_alpha 90.00
_cell_angle_beta 90.00
_cell_angle_gamma 111.53
loop_
_symmetry_equiv_pos_as_xyz
'x,y,z'
loop_
_atom_site_label
_atom_site_type_symbol
_atom_site_fract_x
_atom_site_fract_y
_atom_site_fract_z
Li1 Li 0.000 0.000 0.000
Li2 Li 0.000 0.500 0.228
Li3 Li 0.000 0.500 0.772
Li4 Li 0.500 0.000 0.228
Li5 Li 0.500 0.000 0.772
V1 V 0.000 0.000 0.500
F1 F 0.227 0.227 0.260
F2 F 0.227 0.227 0.740
F3 F 0.231 0.769 0.000
F4 F 0.235 0.765 0.500
F5 F 0.765 0.235 0.500
F6 F 0.769 0.231 0.000
F7 F 0.773 0.773 0.260
F8 F 0.773 0.773 0.740

***

Version 2
# PBE+U Li5VF8, relaxed
# Magnetic moment in μB per formula unit: 2.0
data_Li5VF8
_chemical_formula_sum 'Li5 V1 F8'
_symmetry_space_group_name_H-M 'P 1'
_symmetry_Int_Tables_number 1
_cell_length_a 5.989
_cell_length_b 5.989
_cell_length_c 5.989
_cell_angle_alpha 122.23
_cell_angle_beta 120.70
_cell_angle_gamma 87.48
loop_
_symmetry_equiv_pos_as_xyz
'x,y,z'
loop_
_atom_site_label
_atom_site_type_symbol
_atom_site_fract_x
_atom_site_fract_y
_atom_site_fract_z
Li1 Li 0.000 0.000 0.000
Li2 Li 0.000 0.000 0.500
Li3 Li 0.000 0.500 0.000
Li4 Li 0.500 0.000 0.000
Li5 Li 0.500 0.500 0.500
V1 V 0.500 0.000 0.500
F1 F 0.229 0.229 0.000
F2 F 0.262 0.229 0.491
F3 F 0.262 0.771 0.032
F4 F 0.266 0.766 0.500
F5 F 0.734 0.234 0.500
F6 F 0.738 0.229 0.968
F7 F 0.738 0.771 0.509
F8 F 0.771 0.771 0.000

***

Most stable of them? version 1.

***

Version 1
# PBE+U LiV3P6O20, relaxed
# Magnetic moment in μB per formula unit: 6.0
data_LiV3P6O20
_chemical_formula_sum 'Li2 V6 P12 O40'
_symmetry_space_group_name_H-M 'P 1'
_symmetry_Int_Tables_number 1
_cell_length_a 8.421
_cell_length_b 8.421
_cell_length_c 12.287
_cell_angle_alpha 90.00
_cell_angle_beta 90.00
_cell_angle_gamma 104.86
loop_
_symmetry_equiv_pos_as_xyz
'x,y,z'
loop_
_atom_site_label
_atom_site_type_symbol
_atom_site_fract_x
_atom_site_fract_y
_atom_site_fract_z
Li1 Li 0.084 0.084 0.000
Li2 Li 0.916 0.916 0.500
V1 V 0.198 0.802 0.750
V2 V 0.264 0.736 0.250
V3 V 0.373 0.373 0.000
V4 V 0.627 0.627 0.500
V5 V 0.736 0.264 0.750
V6 V 0.802 0.198 0.250
P1 P 0.127 0.412 0.685
P2 P 0.200 0.316 0.220
P3 P 0.235 0.650 0.514
P4 P 0.316 0.200 0.780
P5 P 0.350 0.765 0.986
P6 P 0.412 0.127 0.315
P7 P 0.588 0.873 0.815
P8 P 0.650 0.235 0.486
P9 P 0.684 0.800 0.280
P10 P 0.765 0.350 0.014
P11 P 0.800 0.684 0.720
P12 P 0.873 0.588 0.185
O1 O 0.028 0.722 0.202
O2 O 0.038 0.226 0.270
O3 O 0.139 0.467 0.560
O4 O 0.159 0.560 0.759
O5 O 0.179 0.776 0.582
O6 O 0.187 0.649 0.396
O7 O 0.224 0.821 0.918
O8 O 0.225 0.237 0.107
O9 O 0.226 0.038 0.730
O10 O 0.237 0.225 0.893
O11 O 0.238 0.500 0.203
O12 O 0.278 0.972 0.298
O13 O 0.284 0.338 0.697
O14 O 0.338 0.284 0.303
O15 O 0.347 0.581 0.968
O16 O 0.351 0.813 0.104
O17 O 0.419 0.653 0.532
O18 O 0.440 0.841 0.741
O19 O 0.467 0.139 0.440
O20 O 0.500 0.238 0.797
O21 O 0.500 0.762 0.297
O22 O 0.533 0.861 0.940
O23 O 0.560 0.159 0.241
O24 O 0.581 0.347 0.032
O25 O 0.649 0.187 0.604
O26 O 0.653 0.419 0.468
O27 O 0.662 0.716 0.803
O28 O 0.716 0.662 0.197
O29 O 0.722 0.028 0.798
O30 O 0.762 0.500 0.703
O31 O 0.763 0.775 0.393
O32 O 0.774 0.962 0.230
O33 O 0.775 0.763 0.607
O34 O 0.776 0.179 0.418
O35 O 0.813 0.351 0.896
O36 O 0.821 0.224 0.082
O37 O 0.841 0.440 0.259
O38 O 0.861 0.533 0.060
O39 O 0.962 0.774 0.770
O40 O 0.972 0.278 0.702

***

Version 2
# PBE+U LiV3P6O20, relaxed
# Magnetic moment in μB per formula unit: 6.0
data_LiV3P6O20
_chemical_formula_sum 'Li2 V6 P12 O40'
_symmetry_space_group_name_H-M 'P 1'
_symmetry_Int_Tables_number 1
_cell_length_a 12.578
_cell_length_b 8.612
_cell_length_c 8.612
_cell_angle_alpha 106.72
_cell_angle_beta 90.00
_cell_angle_gamma 90.00
loop_
_symmetry_equiv_pos_as_xyz
'x,y,z'
loop_
_atom_site_label
_atom_site_type_symbol
_atom_site_fract_x
_atom_site_fract_y
_atom_site_fract_z
Li1 Li 0.000 0.000 0.000
Li2 Li 0.500 0.500 0.500
V1 V 0.000 0.276 0.276
V2 V 0.211 0.667 0.219
V3 V 0.289 0.167 0.719
V4 V 0.500 0.776 0.776
V5 V 0.711 0.719 0.167
V6 V 0.789 0.219 0.667
P1 P 0.054 0.270 0.648
P2 P 0.200 0.531 0.800
P3 P 0.213 0.256 0.119
P4 P 0.287 0.756 0.619
P5 P 0.300 0.031 0.300
P6 P 0.446 0.770 0.148
P7 P 0.554 0.148 0.770
P8 P 0.700 0.300 0.031
P9 P 0.713 0.619 0.756
P10 P 0.787 0.119 0.256
P11 P 0.800 0.800 0.531
P12 P 0.946 0.648 0.270
O1 O 0.058 0.701 0.247
O2 O 0.065 0.262 0.466
O3 O 0.084 0.457 0.745
O4 O 0.103 0.165 0.107
O5 O 0.132 0.154 0.692
O6 O 0.194 0.429 0.224
O7 O 0.195 0.605 0.980
O8 O 0.205 0.677 0.720
O9 O 0.216 0.908 0.224
O10 O 0.237 0.733 0.456
O11 O 0.263 0.233 0.956
O12 O 0.284 0.408 0.724
O13 O 0.295 0.177 0.220
O14 O 0.305 0.105 0.480
O15 O 0.306 0.929 0.724
O16 O 0.368 0.654 0.192
O17 O 0.397 0.665 0.607
O18 O 0.416 0.957 0.245
O19 O 0.435 0.762 0.966
O20 O 0.442 0.201 0.747
O21 O 0.558 0.747 0.201
O22 O 0.565 0.966 0.762
O23 O 0.584 0.245 0.957
O24 O 0.603 0.607 0.665
O25 O 0.632 0.192 0.654
O26 O 0.694 0.724 0.929
O27 O 0.695 0.480 0.105
O28 O 0.705 0.220 0.177
O29 O 0.716 0.724 0.408
O30 O 0.737 0.956 0.233
O31 O 0.763 0.456 0.733
O32 O 0.784 0.224 0.908
O33 O 0.795 0.720 0.677
O34 O 0.805 0.980 0.605
O35 O 0.806 0.224 0.429
O36 O 0.868 0.692 0.154
O37 O 0.897 0.107 0.165
O38 O 0.916 0.745 0.457
O39 O 0.935 0.466 0.262
O40 O 0.942 0.247 0.701

***

Most stable of them? version 2.

***

Version 1
# PBE+U MgMn6O8F4, relaxed
# Magnetic moment in μB per formula unit: 24.0
data_MgMn6O8F4
_chemical_formula_sum 'Mg1 Mn6 O8 F4'
_symmetry_space_group_name_H-M 'P 1'
_symmetry_Int_Tables_number 1
_cell_length_a 5.775
_cell_length_b 5.959
_cell_length_c 7.818
_cell_angle_alpha 106.17
_cell_angle_beta 98.42
_cell_angle_gamma 113.91
loop_
_symmetry_equiv_pos_as_xyz
'x,y,z'
loop_
_atom_site_label
_atom_site_type_symbol
_atom_site_fract_x
_atom_site_fract_y
_atom_site_fract_z
Mg1 Mg 0.000 0.000 0.000
Mn1 Mn 0.005 0.014 0.505
Mn2 Mn 0.021 0.514 0.013
Mn3 Mn 0.344 0.528 0.360
Mn4 Mn 0.389 0.981 0.820
Mn5 Mn 0.652 0.032 0.198
Mn6 Mn 0.699 0.457 0.639
O1 O 0.055 0.704 0.839
O2 O 0.321 0.320 0.517
O3 O 0.371 0.708 0.187
O4 O 0.603 0.870 0.931
O5 O 0.671 0.300 0.831
O6 O 0.712 0.697 0.507
O7 O 0.787 0.175 0.463
O8 O 0.984 0.313 0.179
F1 F 0.130 0.159 0.814
F2 F 0.228 0.832 0.534
F3 F 0.395 0.189 0.131
F4 F 0.931 0.829 0.190

***

Version 2
# PBE+U MgMn6O8F4, relaxed
# Magnetic moment in μB per formula unit: 24.0
data_MgMn6O8F4
_chemical_formula_sum 'Mg1 Mn6 O8 F4'
_symmetry_space_group_name_H-M 'P 1'
_symmetry_Int_Tables_number 1
_cell_length_a 5.229
_cell_length_b 5.725
_cell_length_c 7.706
_cell_angle_alpha 82.37
_cell_angle_beta 88.63
_cell_angle_gamma 87.58
loop_
_symmetry_equiv_pos_as_xyz
'x,y,z'
loop_
_atom_site_label
_atom_site_type_symbol
_atom_site_fract_x
_atom_site_fract_y
_atom_site_fract_z
Mg1 Mg 0.000 0.000 0.000
Mn1 Mn 0.003 0.424 0.228
Mn2 Mn 0.014 0.626 0.809
Mn3 Mn 0.024 0.993 0.512
Mn4 Mn 0.491 0.464 0.494
Mn5 Mn 0.510 0.796 0.138
Mn6 Mn 0.511 0.112 0.812
O1 O 0.181 0.676 0.583
O2 O 0.324 0.840 0.922
O3 O 0.334 0.527 0.252
O4 O 0.337 0.179 0.591
O5 O 0.642 0.094 0.045
O6 O 0.815 0.277 0.427
O7 O 0.860 0.940 0.741
O8 O 0.867 0.652 0.047
F1 F 0.135 0.027 0.247
F2 F 0.151 0.312 0.920
F3 F 0.667 0.431 0.745
F4 F 0.675 0.759 0.380

***

Most stable of them? version 1.

***

Version 1
# PBE+U Li2VC2O6, relaxed
# Magnetic moment in μB per formula unit: 0.0
data_Li2VC2O6
_chemical_formula_sum 'Li8 V4 C8 O24'
_symmetry_space_group_name_H-M 'P 1'
_symmetry_Int_Tables_number 1
_cell_length_a 4.900
_cell_length_b 9.766
_cell_length_c 11.576
_cell_angle_alpha 74.93
_cell_angle_beta 90.00
_cell_angle_gamma 90.00
loop_
_symmetry_equiv_pos_as_xyz
'x,y,z'
loop_
_atom_site_label
_atom_site_type_symbol
_atom_site_fract_x
_atom_site_fract_y
_atom_site_fract_z
Li1 Li 0.531 0.514 0.429
Li2 Li 0.531 0.014 0.929
Li3 Li 0.031 0.486 0.571
Li4 Li 0.031 0.986 0.071
Li5 Li 0.964 0.602 0.053
Li6 Li 0.964 0.102 0.553
Li7 Li 0.464 0.398 0.947
Li8 Li 0.464 0.898 0.447
V1 V 0.506 0.902 0.694
V2 V 0.006 0.098 0.306
V3 V 0.506 0.402 0.194
V4 V 0.006 0.598 0.806
C1 C 0.026 0.515 0.311
C2 C 0.026 0.015 0.811
C3 C 0.526 0.485 0.689
C4 C 0.526 0.985 0.189
C5 C 0.468 0.671 0.932
C6 C 0.468 0.171 0.432
C7 C 0.968 0.329 0.068
C8 C 0.968 0.829 0.568
O1 O 0.913 0.517 0.411
O2 O 0.913 0.017 0.911
O3 O 0.413 0.483 0.589
O4 O 0.413 0.983 0.089
O5 O 0.291 0.517 0.301
O6 O 0.290 0.017 0.801
O7 O 0.791 0.483 0.699
O8 O 0.790 0.983 0.199
O9 O 0.878 0.514 0.218
O10 O 0.878 0.014 0.718
O11 O 0.378 0.486 0.782
O12 O 0.378 0.986 0.282
O13 O 0.566 0.577 0.023
O14 O 0.566 0.077 0.523
O15 O 0.066 0.423 0.977
O16 O 0.066 0.923 0.477
O17 O 0.133 0.272 0.156
O18 O 0.133 0.772 0.656
O19 O 0.633 0.728 0.844
O20 O 0.633 0.228 0.344
O21 O 0.213 0.705 0.927
O22 O 0.213 0.205 0.427
O23 O 0.713 0.295 0.073
O24 O 0.713 0.795 0.573

***

Version 2
# PBE+U Li2VC2O6, relaxed
# Magnetic moment in μB per formula unit: 3.0
data_Li2VC2O6
_chemical_formula_sum 'Li4 V2 C4 O12'
_symmetry_space_group_name_H-M 'P 1'
_symmetry_Int_Tables_number 1
_cell_length_a 5.316
_cell_length_b 6.484
_cell_length_c 8.711
_cell_angle_alpha 83.03
_cell_angle_beta 72.52
_cell_angle_gamma 65.84
loop_
_symmetry_equiv_pos_as_xyz
'x,y,z'
loop_
_atom_site_label
_atom_site_type_symbol
_atom_site_fract_x
_atom_site_fract_y
_atom_site_fract_z
Li1 Li 0.000 0.000 0.000
Li2 Li 0.080 0.496 0.838
Li3 Li 0.282 0.096 0.333
Li4 Li 0.699 0.602 0.497
V1 V 0.350 0.550 0.168
V2 V 0.599 0.049 0.668
C1 C 0.321 0.447 0.470
C2 C 0.478 0.150 0.969
C3 C 0.524 0.651 0.866
C4 C 0.880 0.948 0.366
O1 O 0.040 0.900 0.220
O2 O 0.120 0.448 0.412
O3 O 0.266 0.652 0.922
O4 O 0.271 0.152 0.916
O5 O 0.326 0.393 0.617
O6 O 0.440 0.201 0.116
O7 O 0.522 0.499 0.370
O8 O 0.624 0.944 0.418
O9 O 0.625 0.703 0.719
O10 O 0.676 0.599 0.968
O11 O 0.729 0.097 0.866
O12 O 0.974 0.002 0.471

***

Most stable of them? version 2.